Version w
Material: Y4Si2Sb2W13O28
Method: DFT, GGA+U
State: relaxed

Properties
Mass density = 8.3 Mg/m³
Crystal system = triclinic

a b c (Å): 5.9201 9.5396 12.9793
angles (deg): 85.56 80.36 74.82
Space group P-1 (No. 2)
Inequivalent atoms, fractional coordinates:
Y 0.1306 0.3217 0.0747
Y 0.3080 0.6720 0.0708
Si 0.4488 0.7106 0.5043
Sb 0.1622 0.9504 0.2293
W 0.0000 0.0000 0.5000
W 0.0728 0.3429 0.3533
W 0.1977 0.3728 0.7637
W 0.2071 0.6841 0.3363
W 0.2723 0.0036 0.9205
W 0.4665 0.0078 0.6547
W 0.4786 0.6430 0.7734
O 0.0191 0.4108 0.9215
O 0.0524 0.8585 0.9835
O 0.0874 0.0937 0.6332
O 0.1293 0.6168 0.7689
O 0.1952 0.6647 0.5049
O 0.2127 0.1278 0.4036
O 0.3105 0.1421 0.7891
O 0.3814 0.8921 0.5081
O 0.3984 0.8732 0.7880
O 0.4179 0.3612 0.3983
O 0.4192 0.3285 0.6133
O 0.4512 0.4026 0.0714
O 0.4554 0.1386 0.9900
O 0.4646 0.5898 0.2180

***

Version x
Material: Y4Si2Sb2W13O28
Method: DFT, GGA+U
State: relaxed

Properties
Mass density = 8.1 Mg/m³
Crystal system = monoclinic

a b c (Å): 6.2370 25.1910 9.6245
angles (deg): 90.00 108.90 90.00
Space group C2/m (No. 12)
Inequivalent atoms, fractional coordinates:
Y 0.0814 0.2118 0.3384
Si 0.0548 0.5000 0.7086
Sb 0.0000 0.1190 0.0000
W 0.0000 0.0000 0.0000
W 0.0000 0.2833 0.0000
W 0.0000 0.4220 0.0000
W 0.0475 0.0805 0.3115
W 0.1342 0.3658 0.3666
O 0.0260 0.3546 0.1315
O 0.0706 0.4464 0.3597
O 0.1212 0.5000 0.8956
O 0.1629 0.2475 0.8650
O 0.1887 0.0000 0.3148
O 0.2028 0.3615 0.6092
O 0.2094 0.0508 0.8517
O 0.2277 0.2140 0.5966

***

Order from most stable to least stable according to the calculation: version w, version x